(1)
# Mg3SbN

A relaxed structure of Mg3SbN (r²SCAN, Materials Project).

Formation energy from the elements: -0.757 eV per atom
Mass density: 4.22 Mg/m³
E: -10.226 eV per atom

Cell and atoms, written as POSCAR:
```
Mg3SbN
1.0
-1.148 -3.957 1.382
3.353 -1.727 -2.157
2.513 0.496 3.510
Mg Sb N
3 1 1
Direct
0.000 0.500 0.500
0.500 0.000 0.500
0.500 0.500 0.000
0.000 0.000 0.000
0.500 0.500 0.500
```

=====

(2)
# SmDyMg2

A relaxed structure of SmDyMg2 (r²SCAN, Materials Project).

Formation energy from the elements: -0.096 eV per atom
Mass density: 5.40 Mg/m³
E: -17.610 eV per atom

Cell and atoms, written as POSCAR:
```
SmDyMg2
1.0
1.003 -4.388 -2.979
-4.010 -2.409 -2.692
-0.193 0.293 -5.386
Mg Sm Dy
2 1 1
Direct
0.000 0.000 0.000
0.500 0.500 0.500
0.750 0.750 0.750
0.250 0.250 0.250
```

=====

(3)
# SrS2

A relaxed structure of SrS2 (r²SCAN, Materials Project).

Formation energy from the elements: -1.593 eV per atom
Mass density: 3.49 Mg/m³
E: -11.998 eV per atom

Cell and atoms, written as POSCAR:
```
SrS2
1.0
5.201 -0.008 -2.555
-3.181 4.795 -0.684
-0.005 0.008 5.795
Sr S
2 4
Direct
0.000 0.250 0.250
0.000 0.750 0.750
0.743 0.622 0.122
0.500 0.122 0.378
0.257 0.378 0.878
0.500 0.878 0.622
```

=====

(4)
# Ba2As2O7

A relaxed structure of Ba2As2O7 (r²SCAN, Materials Project).

Formation energy from the elements: -2.253 eV per atom
Mass density: 4.82 Mg/m³
E: -13.546 eV per atom

Cell and atoms, written as POSCAR:
```
Ba2As2O7
1.0
3.350 -5.138 4.211
0.228 4.765 5.730
-12.666 -3.729 2.550
As O Ba
8 28 8
Direct
0.202 0.184 0.589
0.801 0.426 0.108
0.193 0.842 0.086
0.199 0.574 0.892
0.807 0.158 0.914
0.600 0.767 0.604
0.400 0.233 0.396
0.798 0.816 0.411
0.335 0.711 0.839
0.636 0.697 0.338
0.364 0.303 0.662
0.977 0.489 0.193
0.745 0.606 0.646
0.406 0.699 0.537
0.025 0.317 0.552
0.665 0.289 0.161
0.681 0.000 0.958
0.576 0.917 0.701
0.695 0.595 0.050
0.916 0.292 0.019
0.714 0.901 0.524
0.335 0.703 0.153
0.975 0.683 0.448
0.032 0.928 0.150
0.424 0.083 0.299
0.968 0.072 0.850
0.305 0.405 0.950
0.255 0.394 0.354
0.594 0.301 0.463
0.023 0.511 0.807
0.319 0.000 0.042
0.286 0.099 0.476
0.131 0.009 0.646
0.869 0.991 0.354
0.665 0.297 0.847
0.084 0.708 0.981
0.263 0.765 0.347
0.334 0.087 0.843
0.125 0.650 0.639
0.666 0.913 0.157
0.288 0.330 0.140
0.737 0.235 0.653
0.875 0.350 0.361
0.712 0.670 0.860
```

=====

(5)
# Gd2SO2

A relaxed structure of Gd2SO2 (r²SCAN, Materials Project).

Formation energy from the elements: -3.432 eV per atom
Mass density: 7.33 Mg/m³
E: -24.786 eV per atom

Cell and atoms, written as POSCAR:
```
Gd2SO2
1.0
-0.920 -3.727 0.356
3.694 1.094 0.125
-0.443 0.740 6.611
Gd O S
2 2 1
Direct
0.667 0.333 0.719
0.333 0.667 0.281
0.667 0.333 0.371
0.333 0.667 0.629
0.000 0.000 0.000
```

=====

(6)
# Cs4Zr3Se14

A relaxed structure of Cs4Zr3Se14 (r²SCAN, Materials Project).

Formation energy from the elements: -1.231 eV per atom
Mass density: 4.48 Mg/m³
E: -18.805 eV per atom

Cell and atoms, written as POSCAR:
```
Cs4Zr3Se14
1.0
-4.745 -4.861 10.332
2.499 -9.420 7.611
7.437 4.776 11.796
Se Cs Zr
28 8 6
Direct
0.601 0.692 0.106
0.191 0.158 0.164
0.936 0.901 0.868
0.064 0.099 0.131
0.877 0.202 0.396
0.564 0.997 0.602
0.749 0.451 0.282
0.692 0.601 0.606
0.123 0.798 0.604
0.399 0.308 0.894
0.308 0.399 0.394
0.842 0.809 0.336
0.202 0.877 0.896
0.003 0.436 0.898
0.451 0.749 0.782
0.549 0.251 0.218
0.901 0.936 0.368
0.251 0.549 0.718
0.659 0.471 0.081
0.809 0.842 0.836
0.341 0.529 0.919
0.471 0.659 0.581
0.436 0.003 0.398
0.997 0.564 0.102
0.158 0.191 0.664
0.529 0.341 0.419
0.099 0.064 0.632
0.798 0.123 0.104
0.381 0.022 0.892
0.619 0.978 0.108
0.811 0.316 0.850
0.189 0.684 0.150
0.978 0.619 0.608
0.022 0.381 0.392
0.684 0.189 0.650
0.316 0.811 0.350
0.922 0.413 0.085
0.587 0.078 0.415
0.413 0.922 0.585
0.078 0.587 0.915
0.240 0.760 0.750
0.760 0.240 0.250
```

=====

(7)
# K3HS2O8

A relaxed structure of K3HS2O8 (r²SCAN, Materials Project).

Formation energy from the elements: -1.872 eV per atom
Mass density: 2.64 Mg/m³
E: -7.969 eV per atom

Cell and atoms, written as POSCAR:
```
K3HS2O8
1.0
-3.914 -4.674 4.888
1.472 -4.013 6.541
-2.879 6.174 6.913
O K S H
16 6 4 2
Direct
0.185 0.073 0.109
0.927 0.815 0.391
0.675 0.634 0.598
0.673 0.309 0.940
0.366 0.325 0.902
0.585 0.108 0.117
0.815 0.927 0.891
0.309 0.673 0.440
0.415 0.892 0.883
0.691 0.327 0.560
0.108 0.585 0.617
0.634 0.675 0.098
0.892 0.415 0.383
0.073 0.185 0.609
0.327 0.691 0.060
0.325 0.366 0.402
0.250 0.750 0.750
0.578 0.037 0.652
0.422 0.963 0.348
0.037 0.578 0.152
0.963 0.422 0.848
0.750 0.250 0.250
0.608 0.159 0.963
0.841 0.392 0.537
0.159 0.608 0.463
0.392 0.841 0.037
0.500 0.500 0.500
0.500 0.500 0.000
```

=====

(8)
# SiP2

A relaxed structure of SiP2 (r²SCAN, Materials Project).

Formation energy from the elements: -0.142 eV per atom
Mass density: 2.28 Mg/m³
E: -9.068 eV per atom

Cell and atoms, written as POSCAR:
```
SiP2
1.0
3.441 0.000 0.000
0.000 10.195 0.000
0.000 0.000 14.984
Si P
8 16
Direct
0.000 0.089 0.660
0.500 0.694 0.232
0.000 0.589 0.840
0.000 0.411 0.160
0.500 0.306 0.768
0.500 0.194 0.268
0.500 0.806 0.732
0.000 0.911 0.340
0.000 0.759 0.937
0.500 0.374 0.620
0.000 0.259 0.563
0.500 0.959 0.624
0.500 0.541 0.124
0.500 0.459 0.876
0.500 0.874 0.880
0.000 0.241 0.063
0.000 0.672 0.701
0.000 0.172 0.799
0.000 0.828 0.201
0.500 0.041 0.376
0.000 0.328 0.299
0.500 0.626 0.380
0.500 0.126 0.120
0.000 0.741 0.437
```

=====

(9)
# La12Fe2I17

A relaxed structure of La12Fe2I17 (r²SCAN, Materials Project).

Formation energy from the elements: -1.390 eV per atom
Mass density: 5.21 Mg/m³
E: -27.302 eV per atom

Cell and atoms, written as POSCAR:
```
La12Fe2I17
1.0
-6.012 -7.838 -0.529
5.571 -9.860 -3.912
2.560 -6.642 9.857
I La Fe
17 12 2
Direct
0.540 0.059 0.183
0.306 0.635 0.892
0.056 0.107 0.315
0.572 0.172 0.473
0.116 0.216 0.631
0.748 0.475 0.410
0.861 0.689 0.050
0.694 0.365 0.108
0.428 0.828 0.527
0.000 0.000 0.000
0.460 0.941 0.817
0.884 0.784 0.369
0.209 0.417 0.250
0.139 0.311 0.950
0.252 0.525 0.590
0.944 0.893 0.685
0.791 0.583 0.750
0.424 0.238 0.733
0.833 0.185 0.577
0.550 0.522 0.670
0.562 0.673 0.999
0.576 0.762 0.267
0.159 0.717 0.154
0.704 0.997 0.919
0.438 0.327 0.001
0.450 0.478 0.330
0.167 0.815 0.423
0.841 0.283 0.846
0.296 0.003 0.081
0.639 0.267 0.787
0.361 0.733 0.213
```

=====

(10)
# Hf2BIr6

A relaxed structure of Hf2BIr6 (r²SCAN, Materials Project).

Formation energy from the elements: -0.854 eV per atom
Mass density: 19.19 Mg/m³
E: -46.610 eV per atom

Cell and atoms, written as POSCAR:
```
Hf2BIr6
1.0
4.069 0.000 0.000
0.000 4.069 0.000
0.000 0.000 7.952
Hf Ir B
2 6 1
Direct
0.000 0.000 0.986
0.000 0.000 0.514
0.500 0.500 0.989
0.000 0.500 0.750
0.500 0.500 0.511
0.500 0.000 0.750
0.000 0.500 0.250
0.500 0.000 0.250
0.500 0.500 0.250
```

=====

(11)
# K2GdF5

A relaxed structure of K2GdF5 (r²SCAN, Materials Project).

Formation energy from the elements: -3.703 eV per atom
Mass density: 4.23 Mg/m³
E: -12.586 eV per atom

Cell and atoms, written as POSCAR:
```
K2GdF5
1.0
6.573 0.000 0.000
0.000 7.362 0.000
0.000 0.000 10.720
K F Gd
8 20 4
Direct
0.035 0.996 0.171
0.535 0.004 0.329
0.535 0.496 0.329
0.035 0.504 0.171
0.965 0.496 0.829
0.965 0.004 0.829
0.465 0.996 0.671
0.465 0.504 0.671
0.350 0.535 0.922
0.666 0.750 0.803
0.866 0.250 0.329
0.350 0.965 0.922
0.650 0.465 0.078
0.134 0.750 0.671
0.850 0.465 0.578
0.595 0.750 0.511
0.405 0.250 0.489
0.905 0.750 0.011
0.634 0.250 0.829
0.334 0.250 0.197
0.834 0.750 0.303
0.650 0.035 0.078
0.850 0.035 0.578
0.366 0.750 0.171
0.095 0.250 0.989
0.150 0.535 0.422
0.150 0.965 0.422
0.166 0.250 0.697
0.433 0.250 0.996
0.933 0.750 0.504
0.567 0.750 0.004
0.067 0.250 0.496
```

=====

(12)
# ZnSb2O4

A relaxed structure of ZnSb2O4 (r²SCAN, Materials Project).

Formation energy from the elements: -1.508 eV per atom
Mass density: 5.71 Mg/m³
E: -13.539 eV per atom

Cell and atoms, written as POSCAR:
```
ZnSb2O4
1.0
8.534 0.000 0.000
0.000 8.534 0.000
0.000 0.000 5.952
Sb O Zn
8 16 4
Direct
0.337 0.677 0.000
0.837 0.823 0.000
0.163 0.177 0.000
0.323 0.337 0.500
0.677 0.663 0.500
0.823 0.163 0.500
0.177 0.837 0.500
0.663 0.323 0.000
0.360 0.905 0.000
0.680 0.820 0.750
0.095 0.360 0.500
0.820 0.320 0.250
0.320 0.180 0.750
0.905 0.640 0.500
0.180 0.680 0.750
0.140 0.405 0.000
0.680 0.820 0.250
0.180 0.680 0.250
0.405 0.860 0.500
0.595 0.140 0.500
0.820 0.320 0.750
0.640 0.095 0.000
0.320 0.180 0.250
0.860 0.595 0.000
0.500 0.000 0.750
0.000 0.500 0.250
0.000 0.500 0.750
0.500 0.000 0.250
```